Record 1
Density functional theory data (r²SCAN) for a geometry-optimized Pm3Sc structure.

The structure in POSCAR format:
```
Pm3Sc
1.0
7.303 0.000 0.000
-3.652 6.325 0.000
0.000 0.000 5.640
Pm Sc
6 2
Cartesian
0.000 2.165 1.410
-1.777 5.242 1.410
1.875 1.082 4.230
1.777 5.242 1.410
5.428 1.082 4.230
3.652 4.160 4.230
0.000 4.217 4.230
3.652 2.108 1.410
```

Properties
The value obtained for the energy relative to the lowest polymorph listed for this composition is 0 meV per atom. The calculation puts the formation energy at 0.040 eV/atom. Its magnetic moment is 1.33 Bohr magnetons per cell.

=====

Record 2
Density functional theory data (r²SCAN) for a geometry-optimized PrNdSb2 structure.

The structure in POSCAR format:
```
PrNdSb2
1.0
4.548 0.000 0.000
-2.274 3.939 0.000
0.000 0.000 22.277
Pr Nd Sb
3 3 6
Cartesian
0.000 0.000 0.000
0.000 2.626 14.851
2.274 1.313 7.426
0.000 0.000 11.138
0.000 2.626 3.713
2.274 1.313 18.564
0.000 0.000 5.556
0.000 0.000 16.721
0.000 2.626 9.295
0.000 2.626 20.407
2.274 1.313 1.870
2.274 1.313 12.981
```

Properties
The calculation puts the formation energy at -1.430 eV/atom. Its magnetic moment is 0.00 Bohr magnetons per cell.

=====

Record 3
Density functional theory data (r²SCAN) for a geometry-optimized Er4CdPd structure.

The structure in POSCAR format:
```
Er4CdPd
1.0
0.000 6.747 6.747
6.747 0.000 6.747
6.747 6.747 0.000
Er Cd Pd
16 4 4
Cartesian
3.374 3.374 0.817
3.374 0.817 3.374
5.930 3.374 3.374
6.747 6.747 2.492
6.747 2.492 6.747
11.002 6.747 6.747
8.156 5.339 5.339
0.817 3.374 3.374
3.374 5.930 3.374
3.374 3.374 5.930
5.339 8.156 5.339
5.339 5.339 8.156
8.156 8.156 8.156
2.492 6.747 6.747
6.747 11.002 6.747
6.747 6.747 11.002
11.229 9.013 9.013
9.013 11.229 9.013
9.013 9.013 11.229
11.229 11.229 11.229
5.328 5.328 5.328
8.167 8.167 5.328
8.167 5.328 8.167
5.328 8.167 8.167
```

Properties
The calculation puts the formation energy at -0.500 eV/atom. Its magnetic moment is 0.00 Bohr magnetons per cell.

=====

Record 4
Density functional theory data (r²SCAN) for a geometry-optimized SiC structure.

The structure in POSCAR format:
```
SiC
1.0
1.538 0.888 42.780
-1.538 0.888 42.780
0.000 -1.776 42.780
Si C
17 17
Cartesian
0.000 0.000 0.000
0.000 0.000 5.034
0.000 0.000 15.097
0.000 0.000 20.132
0.000 0.000 30.196
0.000 0.000 35.232
0.000 0.000 45.297
0.000 0.000 52.846
0.000 0.000 60.395
0.000 0.000 67.945
0.000 0.000 75.494
0.000 0.000 83.044
0.000 0.000 93.107
0.000 0.000 98.143
0.000 0.000 108.206
0.000 0.000 113.242
0.000 0.000 123.306
0.000 0.000 1.886
0.000 0.000 6.921
0.000 0.000 16.984
0.000 0.000 22.020
0.000 0.000 32.083
0.000 0.000 37.119
0.000 0.000 47.189
0.000 0.000 54.739
0.000 0.000 62.288
0.000 0.000 69.838
0.000 0.000 77.387
0.000 0.000 84.936
0.000 0.000 94.995
0.000 0.000 100.031
0.000 0.000 110.094
0.000 0.000 115.129
0.000 0.000 125.192
```

Properties
The value obtained for the energy relative to the lowest polymorph listed for this composition is 0 meV per atom. The calculation puts the formation energy at -0.306 eV/atom. Its magnetic moment is 0.00 Bohr magnetons per cell.

=====

Record 5
Density functional theory data (r²SCAN) for a geometry-optimized LiLu2Ru structure.

The structure in POSCAR format:
```
LiLu2Ru
1.0
6.753 0.000 0.000
0.000 6.753 0.000
0.000 0.000 6.753
Li Lu Ru
4 8 4
Cartesian
0.000 0.000 0.000
0.000 3.376 3.376
3.376 0.000 3.376
3.376 3.376 0.000
1.688 1.688 1.688
1.688 1.688 5.065
1.688 5.065 1.688
1.688 5.065 5.065
5.065 1.688 1.688
5.065 1.688 5.065
5.065 5.065 1.688
5.065 5.065 5.065
0.000 0.000 3.376
0.000 3.376 0.000
3.376 0.000 0.000
3.376 3.376 3.376
```

Properties
The calculation puts the formation energy at -0.369 eV/atom. Its magnetic moment is 0.00 Bohr magnetons per cell.

=====

Record 6
Density functional theory data (r²SCAN) for a geometry-optimized Ho2CdSe4 structure.

The structure in POSCAR format:
```
Ho2CdSe4
1.0
0.000 5.844 5.844
5.844 0.000 5.844
5.844 5.844 0.000
Ho Cd Se
4 2 8
Cartesian
0.000 0.000 0.000
2.922 2.922 0.000
2.922 0.000 2.922
0.000 2.922 2.922
4.383 4.383 4.383
7.305 7.305 7.305
8.848 5.762 5.762
2.840 2.840 2.840
5.926 5.926 2.840
5.926 2.840 5.926
5.762 8.848 5.762
5.762 5.762 8.848
8.848 8.848 8.848
2.840 5.926 5.926
```

Properties
The calculation puts the formation energy at -1.774 eV/atom. Its magnetic moment is 0.00 Bohr magnetons per cell.

=====

Record 7
Density functional theory data (r²SCAN) for a geometry-optimized Ca3Si2Ni3 structure.

The structure in POSCAR format:
```
Ca3Si2Ni3
1.0
9.241 0.000 0.000
0.000 3.913 0.000
0.000 0.000 18.047
Ca Si Ni
12 8 12
Cartesian
0.994 0.978 1.270
1.152 0.978 12.327
1.323 0.978 7.788
3.297 2.935 16.812
3.469 2.935 3.303
3.627 2.935 10.294
5.614 0.978 7.753
5.772 0.978 14.744
5.944 0.978 1.235
7.918 2.935 10.259
8.089 2.935 5.720
8.248 2.935 16.777
1.150 0.978 4.520
1.155 0.978 16.076
3.466 2.935 7.053
3.470 2.935 13.543
5.771 0.978 4.504
5.775 0.978 10.994
8.086 2.935 1.971
8.091 2.935 13.527
0.517 2.935 3.477
1.160 2.935 14.695
1.789 2.935 5.553
2.831 0.978 14.576
3.461 0.978 5.671
4.104 0.978 12.500
5.137 2.935 5.547
5.780 2.935 12.376
6.410 2.935 3.470
7.452 0.978 12.494
8.081 0.978 3.352
8.724 0.978 14.570
```

Properties
The calculation puts the formation energy at -0.505 eV/atom. Its magnetic moment is 0.00 Bohr magnetons per cell.

=====

Record 8
Density functional theory data (r²SCAN) for a geometry-optimized K2Ta3Cl9 structure.

The structure in POSCAR format:
```
K2Ta3Cl9
1.0
5.038 -8.352 0.000
5.038 8.352 0.000
-4.082 0.000 8.670
K Ta Cl
4 6 18
Cartesian
1.182 5.669 5.849
4.811 5.669 2.822
1.182 -5.669 5.849
4.811 -5.669 2.822
0.185 1.440 7.454
3.312 0.000 1.099
0.185 -1.440 7.454
5.808 1.440 1.216
2.681 0.000 7.571
5.808 -1.440 1.216
1.755 5.068 2.805
-2.026 1.742 8.529
-0.921 0.000 5.771
1.132 0.000 2.472
5.038 3.458 0.000
-2.026 -1.742 8.529
2.082 1.726 5.914
4.238 5.068 5.865
3.911 1.726 2.756
2.082 -1.726 5.914
1.755 -5.068 2.805
3.911 -1.726 2.756
8.019 1.742 0.141
5.038 -3.458 0.000
4.861 0.000 6.198
6.915 0.000 2.899
8.019 -1.742 0.141
4.238 -5.068 5.865
```

Properties
The calculation puts the formation energy at -1.664 eV/atom. Its magnetic moment is 0.00 Bohr magnetons per cell.

=====

Record 9
Density functional theory data (r²SCAN) for a geometry-optimized Zr3Sc structure.

The structure in POSCAR format:
```
Zr3Sc
1.0
6.520 0.000 0.000
-3.260 5.647 0.000
0.000 0.000 5.128
Zr Sc
6 2
Cartesian
0.000 1.889 1.282
-1.624 4.702 1.282
1.636 0.944 3.846
1.624 4.702 1.282
4.884 0.944 3.846
3.260 3.758 3.846
0.000 3.764 3.846
3.260 1.882 1.282
```

Properties
The calculation puts the formation energy at -0.015 eV/atom. Its magnetic moment is 0.00 Bohr magnetons per cell.

=====

Record 10
Density functional theory data (r²SCAN) for a geometry-optimized Ho7Cu3Te12 structure.

The structure in POSCAR format:
```
Ho7Cu3Te12
1.0
7.486 0.000 0.000
-3.742 6.485 0.000
-1.228 -2.152 13.962
Ho Cu Te
7 3 12
Cartesian
0.000 0.000 0.000
-2.523 4.354 3.527
-2.495 4.327 10.382
1.210 2.136 3.515
1.289 2.175 10.386
5.029 0.012 3.516
4.964 -0.031 10.388
-1.251 2.153 5.808
0.001 4.339 7.942
3.730 2.165 7.946
-1.259 2.171 1.716
0.009 -0.014 5.296
-1.225 2.125 8.574
-0.015 -0.007 12.138
2.487 -0.001 1.729
0.002 4.354 5.278
2.461 0.001 8.574
0.013 4.299 12.156
2.491 4.325 1.722
3.705 2.158 5.278
2.515 4.354 8.561
3.757 2.174 12.152
```

Properties
The calculation puts the formation energy at -1.322 eV/atom. Its magnetic moment is 0.00 Bohr magnetons per cell.

=====

Record 11
Density functional theory data (r²SCAN) for a geometry-optimized VF5 structure.

The structure in POSCAR format:
```
VF5
1.0
4.924 0.000 0.000
0.000 9.091 0.000
-4.451 0.000 7.953
V F
4 20
Cartesian
-1.662 1.120 2.985
-3.887 3.425 6.962
4.360 5.665 0.992
2.135 7.971 4.968
-4.229 6.763 7.837
-2.004 6.873 3.860
-3.236 4.797 6.099
-1.010 8.838 2.122
-1.220 0.109 4.581
1.005 4.437 0.604
-0.195 1.991 2.950
-2.420 2.554 6.927
0.315 6.237 2.346
-1.910 7.398 6.322
2.383 1.692 1.631
0.158 2.853 5.608
2.893 6.536 1.026
0.668 7.100 5.003
-0.532 4.654 7.349
1.693 8.982 3.373
1.483 0.252 5.831
3.709 4.293 1.854
2.477 2.217 4.094
4.702 2.328 0.117
```

Properties
The calculation puts the formation energy at -2.828 eV/atom. Its magnetic moment is 0.00 Bohr magnetons per cell.

=====

Record 12
Density functional theory data (r²SCAN) for a geometry-optimized Ti3V3Ge5 structure.

The structure in POSCAR format:
```
Ti3V3Ge5
1.0
9.116 -2.526 0.000
9.116 2.526 0.000
-3.302 0.000 7.039
Ti V Ge
6 6 10
Cartesian
0.175 0.000 2.163
0.125 0.000 5.293
4.969 0.000 3.294
9.960 0.000 3.746
14.805 0.000 1.747
14.755 0.000 4.876
2.966 1.269 5.692
7.345 0.000 1.259
11.963 1.269 1.347
2.966 -1.269 5.692
7.584 0.000 5.781
11.963 -1.269 1.347
-1.956 0.000 6.838
2.221 0.000 3.605
7.465 1.245 3.520
4.962 0.000 0.596
5.118 0.000 5.930
9.812 0.000 1.109
9.968 0.000 6.443
7.465 -1.245 3.520
12.709 0.000 3.434
16.886 0.000 0.201
```

Properties
The calculation puts the formation energy at -0.587 eV/atom. Its magnetic moment is 0.02 Bohr magnetons per cell.

=====

Record 13
Density functional theory data (r²SCAN) for a geometry-optimized EuAg2Sn structure.

The structure in POSCAR format:
```
EuAg2Sn
1.0
8.747 0.000 0.000
0.000 5.040 0.000
-2.891 0.000 4.120
Eu Ag Sn
2 4 2
Cartesian
0.000 0.000 0.000
4.374 2.520 0.000
0.021 0.000 3.089
1.462 2.520 1.030
5.835 0.000 1.030
4.394 2.520 3.089
-1.446 2.520 2.060
2.928 0.000 2.060
```

Properties
The calculation puts the formation energy at -0.357 eV/atom. Its magnetic moment is 13.88 Bohr magnetons per cell.

=====

Record 14
Density functional theory data (r²SCAN) for a geometry-optimized Rb3Bi2Br9 structure.

The structure in POSCAR format:
```
Rb3Bi2Br9
1.0
19.283 0.000 0.000
0.000 8.255 0.000
-0.213 0.000 13.491
Rb Bi Br
12 8 36
Cartesian
1.204 0.700 4.251
1.098 3.428 10.996
4.902 4.681 6.653
4.795 7.702 13.399
7.952 0.654 8.829
8.058 3.474 2.084
11.012 4.781 11.407
11.119 7.601 4.662
14.275 0.553 0.092
14.168 3.574 6.838
17.972 4.827 2.495
17.866 7.556 9.240
3.067 4.211 2.175
2.961 8.172 8.921
6.454 0.031 4.398
6.348 4.097 11.144
12.723 4.158 2.347
12.616 8.225 9.093
16.109 0.084 4.570
16.003 4.044 11.316
0.935 1.511 7.941
1.041 2.617 1.195
1.668 5.810 8.405
1.774 6.573 1.659
1.921 0.056 11.460
2.027 4.072 4.715
3.897 4.346 12.844
4.003 8.037 6.099
4.757 1.698 2.540
4.651 2.429 9.286
5.515 5.719 3.063
5.409 6.664 9.809
7.253 1.804 12.360
7.359 2.324 5.615
7.783 5.703 12.869
7.889 6.680 6.123
8.454 0.045 2.514
8.348 4.083 9.260
10.723 4.173 4.231
10.616 8.210 10.977
11.181 1.576 7.368
11.287 2.552 0.622
11.711 5.931 7.876
11.818 6.452 1.131
13.661 1.592 3.682
13.555 2.536 10.428
14.419 5.826 4.205
14.313 6.557 10.951
15.067 0.219 7.392
15.173 3.909 0.647
17.043 4.183 8.776
17.150 8.200 2.031
17.296 1.683 11.832
17.402 2.445 5.086
18.029 5.638 12.296
18.135 6.744 5.550
```

Properties
The calculation puts the formation energy at -1.388 eV/atom. Its magnetic moment is 0.00 Bohr magnetons per cell.

=====

Record 15
Density functional theory data (r²SCAN) for a geometry-optimized ThSi2 structure.

The structure in POSCAR format:
```
ThSi2
1.0
4.102 0.000 0.000
-2.051 3.553 0.000
0.000 0.000 4.197
Th Si
1 2
Cartesian
0.000 0.000 0.000
0.000 2.369 2.098
2.051 1.184 2.098
```

Properties
The calculation puts the formation energy at -0.630 eV/atom. Its magnetic moment is 0.00 Bohr magnetons per cell.

=====

Record 16
Density functional theory data (r²SCAN) for a geometry-optimized La2I5 structure.

The structure in POSCAR format:
```
La2I5
1.0
8.954 0.000 0.000
0.000 4.458 0.000
-0.411 0.000 14.845
La I
4 10
Cartesian
0.674 1.114 2.343
3.501 3.343 5.101
5.041 1.114 9.743
7.868 3.343 12.502
1.163 1.114 5.612
1.024 1.114 11.549
1.690 3.343 0.168
2.960 3.343 8.490
3.944 1.114 2.736
4.599 3.343 12.108
5.582 1.114 6.355
6.853 1.114 14.677
7.519 3.343 3.296
7.379 3.343 9.233
```

Properties
The calculation puts the formation energy at -1.740 eV/atom. Its magnetic moment is 2.00 Bohr magnetons per cell.